[1]
The following is a PBE-GGA calculation of a relaxed RbNbO3 crystal, from Materials Project.

a = 5.1807 Å, b = 8.6202 Å, c = 9.1666 Å
α = 115.04°, β = 93.48°, γ = 94.48°
Closest atoms and distances in Å follow each position.
Atoms (fractional coordinates):
O 0.7374 0.9242 0.0083  2 Nb 2.08-2.10
O 0.2626 0.0758 0.9917  2 Nb 2.08-2.10
O 0.2198 0.7836 0.0391  2 Nb 1.98-2.02
O 0.7181 0.2185 0.2745  2 Nb 1.94-2.07
O 0.5969 0.8915 0.3132  1 Nb 1.82
O 0.7802 0.2164 0.9609  2 Nb 1.98-2.02
O 0.8502 0.5607 0.7680  1 Nb 1.82
O 0.2819 0.7815 0.7255  2 Nb 1.94-2.07
O 0.4031 0.1085 0.6868  1 Nb 1.82
O 0.2059 0.1255 0.2951  2 Nb 1.94-2.12
O 0.7941 0.8745 0.7049  2 Nb 1.94-2.12
O 0.1498 0.4393 0.2320  1 Nb 1.82
Nb 0.5256 0.0115 0.8148  3 O 1.82-2.02
Nb 0.9978 0.7835 0.8551  3 O 1.82-1.98
Nb 0.0022 0.2165 0.1449  3 O 1.82-1.98
Nb 0.4744 0.9885 0.1852  3 O 1.82-2.02
Rb 0.5000 0.5000 0.0000  4 O 2.84-3.06
Rb 0.5000 0.5000 0.5000  4 O 2.80-2.81
Rb 0.0904 0.7975 0.4034  6 O 2.86-3.12
Rb 0.9096 0.2025 0.5966  6 O 2.86-3.12

=====

[2]
The following is a PBE-GGA calculation of a relaxed Rb2Nb2O5 crystal, from Materials Project.

a = 9.1407 Å, b = 9.1407 Å, c = 9.1407 Å
α = 141.65°, β = 141.46°, γ = 55.50°
Closest atoms and distances in Å follow each position.
Atoms (fractional coordinates):
O 0.2735 0.7432 0.0115  1 Nb 1.94
O 0.3825 0.3832 0.0229  2 Nb 1.99-2.09
O 0.5125 0.9981 0.0105  2 Nb 1.96
O 0.8825 0.8596 0.9993  2 Nb 1.99-2.09
O 0.1396 0.1404 0.0229  2 Nb 1.99-2.09
O 0.2683 0.2568 0.5303  1 Nb 1.94
O 0.7683 0.2380 0.0115  1 Nb 1.94
O 0.0125 0.0019 0.5144  2 Nb 1.96
O 0.6396 0.6168 0.9993  2 Nb 1.99-2.09
O 0.7735 0.7620 0.5303  1 Nb 1.94
Rb 0.1263 0.6142 0.4981  10 O 2.87-3.12
Rb 0.6263 0.1282 0.5121  10 O 2.87-3.12
Rb 0.3839 0.8718 0.4981  10 O 2.87-3.12
Rb 0.8839 0.3858 0.5121  10 O 2.87-3.12
Nb 0.4853 0.5000 0.9853  4 O 1.94-2.09
Nb 0.9853 0.0000 0.9853  4 O 1.94-2.09
Nb 0.2641 0.2073 0.9715  4 O 1.96-1.99
Nb 0.7641 0.7927 0.0568  4 O 1.96-1.99

=====

[3]
The following is a PBE-GGA calculation of a relaxed Rb2Nb2Si2O11 crystal, from Materials Project.

a = 7.4391 Å, b = 7.4391 Å, c = 39.6908 Å
α = 90.00°, β = 90.00°, γ = 90.00°
Closest atoms and distances in Å follow each position.
Atoms (fractional coordinates):
Rb 0.0123 0.5351 0.5727  3 O 2.80-3.13
Rb 0.6299 0.5000 0.7500  8 O 2.99-3.29
Rb 0.5351 0.9877 0.8227  3 O 2.80-3.13
Rb 0.5000 0.6299 0.5000  8 O 2.99-3.29
Rb 0.0123 0.4649 0.9273  3 O 2.80-3.13
Rb 0.5351 0.0123 0.6773  3 O 2.80-3.13
Rb 0.4649 0.0123 0.3227  3 O 2.80-3.13
Rb 0.0336 0.0336 0.6250  5 O 3.02-3.32
Rb 0.9877 0.4649 0.0727  3 O 2.80-3.13
Rb 0.9877 0.5351 0.4273  3 O 2.80-3.13
Rb 0.9664 0.9664 0.1250  5 O 3.02-3.32
Rb 0.5000 0.3701 0.0000  8 O 2.99-3.29
Rb 0.3701 0.5000 0.2500  8 O 2.99-3.29
Rb 0.0336 0.9664 0.8750  5 O 3.02-3.32
Rb 0.9664 0.0336 0.3750  5 O 3.02-3.32
Rb 0.4649 0.9877 0.1773  3 O 2.80-3.13
O 0.3056 0.6944 0.3750  2 Nb 1.98
O 0.7009 0.1893 0.4432  1 Si 1.63
O 0.2964 0.8245 0.5587  1 Si 1.63
O 0.0128 0.4994 0.6428  2 Nb 1.88-2.09
O 0.5006 0.9872 0.1072  2 Nb 1.88-2.09
O 0.0033 0.0078 0.4506  2 Si 1.65
O 0.9967 0.9922 0.9506  2 Si 1.65
O 0.4994 0.9872 0.8928  2 Nb 1.88-2.09
O 0.8245 0.2964 0.6913  1 Si 1.63
O 0.0033 0.9922 0.0494  2 Si 1.65
O 0.3050 0.3230 0.3777  2 Nb 1.96-2.01
O 0.9914 0.7554 0.7505  2 Si 1.64
O 0.3951 0.9166 0.7496  1 O 1.24
O 0.6920 0.1895 0.5551  1 Si 1.63
O 0.0834 0.6049 0.0004  1 O 1.24
O 0.1755 0.2964 0.3087  1 Si 1.63
O 0.3230 0.3050 0.8723  2 Nb 1.96-2.01
O 0.3230 0.6950 0.6277  2 Nb 1.96-2.01
O 0.1895 0.3080 0.8051  1 Si 1.63
O 0.4955 0.4856 0.9278  2 Nb 1.89-2.09
O 0.7554 0.9914 0.4995  2 Si 1.64
O 0.5006 0.0128 0.3928  2 Nb 1.88-2.09
O 0.3056 0.3056 0.1250  2 Nb 1.98
O 0.5144 0.4955 0.6778  2 Nb 1.89-2.09
O 0.0078 0.0033 0.7994  2 Si 1.65
O 0.4994 0.0128 0.6072  2 Nb 1.88-2.09
O 0.8239 0.3061 0.8069  1 Si 1.63
O 0.3061 0.8239 0.4431  1 Si 1.63
O 0.0086 0.7554 0.2495  2 Si 1.64
O 0.6920 0.8105 0.9449  1 Si 1.63
O 0.1895 0.6920 0.6949  1 Si 1.63
O 0.6950 0.6770 0.8777  2 Nb 1.96-2.01
O 0.8105 0.3080 0.1949  1 Si 1.63
O 0.0086 0.2446 0.2505  2 Si 1.64
O 0.7036 0.8245 0.4413  1 Si 1.63
O 0.1761 0.6939 0.3069  1 Si 1.63
O 0.3080 0.8105 0.0551  1 Si 1.63
O 0.6762 0.3238 0.3750  2 Nb 1.99
O 0.1761 0.3061 0.1931  1 Si 1.63
O 0.5144 0.5045 0.8222  2 Nb 1.89-2.09
O 0.6049 0.9166 0.2504  1 O 1.24
O 0.6049 0.0834 0.2496  1 O 1.24
O 0.7554 0.0086 0.0005  2 Si 1.64
O 0.4955 0.5144 0.5722  2 Nb 1.89-2.09
O 0.3238 0.6762 0.8750  2 Nb 1.99
O 0.2446 0.0086 0.9995  2 Si 1.64
O 0.9922 0.0033 0.2006  2 Si 1.65
O 0.8107 0.2991 0.3068  1 Si 1.63
O 0.7009 0.8107 0.0568  1 Si 1.63
O 0.2446 0.9914 0.5005  2 Si 1.64
O 0.7036 0.1755 0.0587  1 Si 1.63
O 0.1893 0.2991 0.6932  1 Si 1.63
O 0.8239 0.6939 0.6931  1 Si 1.63
O 0.6950 0.3230 0.6223  2 Nb 1.96-2.01
O 0.9872 0.4994 0.3572  2 Nb 1.88-2.09
O 0.8107 0.7009 0.1932  1 Si 1.63
O 0.6939 0.8239 0.5569  1 Si 1.63
O 0.6770 0.3050 0.1277  2 Nb 1.96-2.01
O 0.6944 0.3056 0.8750  2 Nb 1.98
O 0.9922 0.9967 0.2994  2 Si 1.65
O 0.6770 0.6950 0.3723  2 Nb 1.96-2.01
O 0.2964 0.1755 0.9413  1 Si 1.63
O 0.9166 0.3951 0.5004  1 O 1.24
O 0.2991 0.1893 0.5568  1 Si 1.63
O 0.1755 0.7036 0.1913  1 Si 1.63
O 0.3080 0.1895 0.4449  1 Si 1.63
O 0.6939 0.1761 0.9431  1 Si 1.63
O 0.5045 0.5144 0.4278  2 Nb 1.89-2.09
O 0.6944 0.6944 0.6250  2 Nb 1.98
O 0.9914 0.2446 0.7495  2 Si 1.64
O 0.9872 0.5006 0.1428  2 Nb 1.88-2.09
O 0.3951 0.0834 0.7504  1 O 1.24
O 0.0834 0.3951 0.4996  1 O 1.24
O 0.9166 0.6049 0.9996  1 O 1.24
O 0.2991 0.8107 0.9432  1 Si 1.63
O 0.5045 0.4856 0.0722  2 Nb 1.89-2.09
O 0.9967 0.0078 0.5494  2 Si 1.65
O 0.1893 0.7009 0.8068  1 Si 1.63
O 0.3050 0.6770 0.1223  2 Nb 1.96-2.01
O 0.0078 0.9967 0.7006  2 Si 1.65
O 0.4856 0.4955 0.3222  2 Nb 1.89-2.09
O 0.8245 0.7036 0.8087  1 Si 1.63
O 0.0128 0.5006 0.8572  2 Nb 1.88-2.09
O 0.8105 0.6920 0.3051  1 Si 1.63
O 0.3238 0.3238 0.6250  2 Nb 1.99
O 0.4856 0.5045 0.1778  2 Nb 1.89-2.09
O 0.3061 0.1761 0.0569  1 Si 1.63
O 0.6762 0.6762 0.1250  2 Nb 1.99
Si 0.2146 0.0050 0.5412  4 O 1.63-1.65
Si 0.0049 0.7799 0.7096  4 O 1.63-1.65
Si 0.9951 0.2201 0.2096  4 O 1.63-1.65
Si 0.9950 0.7854 0.2088  4 O 1.63-1.65
Si 0.9950 0.2146 0.2912  4 O 1.63-1.65
Si 0.9951 0.7799 0.2904  4 O 1.63-1.65
Si 0.7799 0.0049 0.5404  4 O 1.63-1.65
Si 0.2146 0.9950 0.9588  4 O 1.63-1.65
Si 0.0049 0.2201 0.7904  4 O 1.63-1.65
Si 0.7854 0.0050 0.4588  4 O 1.63-1.65
Si 0.0050 0.7854 0.7912  4 O 1.63-1.65
Si 0.0050 0.2146 0.7088  4 O 1.63-1.65
Si 0.7799 0.9951 0.9596  4 O 1.63-1.65
Si 0.2201 0.9951 0.0404  4 O 1.63-1.65
Si 0.2201 0.0049 0.4596  4 O 1.63-1.65
Si 0.7854 0.9950 0.0412  4 O 1.63-1.65
Nb 0.5000 0.7700 0.4060  6 O 1.88-2.10
Nb 0.7248 0.5001 0.1616  6 O 1.89-2.09
Nb 0.7700 0.5000 0.8440  6 O 1.88-2.10
Nb 0.2300 0.5000 0.3440  6 O 1.88-2.10
Nb 0.4999 0.2752 0.5884  6 O 1.89-2.09
Nb 0.5000 0.7700 0.5940  6 O 1.88-2.10
Nb 0.2300 0.5000 0.1560  6 O 1.88-2.10
Nb 0.5000 0.2300 0.9060  6 O 1.88-2.10
Nb 0.5001 0.7248 0.0884  6 O 1.89-2.09
Nb 0.5001 0.2752 0.4116  6 O 1.89-2.09
Nb 0.2752 0.5001 0.8384  6 O 1.89-2.09
Nb 0.7700 0.5000 0.6560  6 O 1.88-2.10
Nb 0.7248 0.4999 0.3384  6 O 1.89-2.09
Nb 0.4999 0.7248 0.9116  6 O 1.89-2.09
Nb 0.2752 0.4999 0.6616  6 O 1.89-2.09
Nb 0.5000 0.2300 0.0940  6 O 1.88-2.10

=====

[4]
The following is a PBE-GGA calculation of a relaxed Rb2Nb2Si2O11 crystal, from Materials Project.

a = 7.4431 Å, b = 7.4431 Å, c = 39.7137 Å
α = 90.00°, β = 90.00°, γ = 90.00°
Closest atoms and distances in Å follow each position.
Atoms (fractional coordinates):
O 0.6946 0.3054 0.1250  2 Nb 1.98
O 0.9962 0.0080 0.4503  2 Si 1.65
O 0.8110 0.7020 0.8071  1 Si 1.63
O 0.5143 0.5059 0.1779  2 Nb 1.89-2.09
O 0.7020 0.8110 0.9429  1 Si 1.63
O 0.8243 0.2966 0.3087  1 Si 1.63
O 0.0038 0.9920 0.9503  2 Si 1.65
O 0.5059 0.4857 0.9279  2 Nb 1.89-2.09
O 0.6945 0.6765 0.1223  2 Nb 1.97-2.01
O 0.3101 0.8112 0.9452  1 Si 1.63
O 0.3055 0.3235 0.6223  2 Nb 1.97-2.01
O 0.2980 0.1890 0.4429  1 Si 1.63
O 0.3065 0.8242 0.5568  1 Si 1.63
O 0.1757 0.2966 0.6913  1 Si 1.63
O 0.8110 0.2980 0.6929  1 Si 1.63
O 0.1757 0.7034 0.8087  1 Si 1.63
O 0.2980 0.8110 0.0571  1 Si 1.63
O 0.8112 0.3101 0.8048  1 Si 1.63
O 0.6075 0.0824 0.7521  1 O 1.24
O 0.4991 0.9876 0.1070  2 Nb 1.88-2.09
O 0.1888 0.6899 0.3048  1 Si 1.63
O 0.0124 0.4991 0.3570  2 Nb 1.88-2.09
O 0.6765 0.3055 0.8723  2 Nb 1.97-2.01
O 0.3235 0.3055 0.1277  2 Nb 1.97-2.01
O 0.0080 0.0038 0.2003  2 Si 1.65
O 0.6771 0.3229 0.6250  2 Nb 1.99
O 0.3055 0.6765 0.8777  2 Nb 1.97-2.01
O 0.0078 0.7572 0.7506  2 Si 1.64
O 0.4941 0.4857 0.0721  2 Nb 1.89-2.09
O 0.6899 0.1888 0.4452  1 Si 1.63
O 0.1758 0.3065 0.8068  1 Si 1.63
O 0.9920 0.9962 0.7003  2 Si 1.65
O 0.9176 0.6075 0.0021  1 O 1.24
O 0.9876 0.4991 0.6430  2 Nb 1.88-2.09
O 0.3925 0.0824 0.2479  1 O 1.24
O 0.6935 0.8242 0.4432  1 Si 1.63
O 0.6771 0.6771 0.8750  2 Nb 1.99
O 0.0124 0.5009 0.1430  2 Nb 1.88-2.09
O 0.7034 0.8243 0.5587  1 Si 1.63
O 0.1890 0.7020 0.1929  1 Si 1.63
O 0.3229 0.3229 0.3750  2 Nb 1.99
O 0.9920 0.0038 0.7997  2 Si 1.65
O 0.8112 0.6899 0.6952  1 Si 1.63
O 0.0824 0.6075 0.9979  1 O 1.24
O 0.6075 0.9176 0.7479  1 O 1.24
O 0.0824 0.3925 0.5021  1 O 1.24
O 0.1890 0.2980 0.3071  1 Si 1.63
O 0.3925 0.9176 0.2521  1 O 1.24
O 0.6935 0.1758 0.0568  1 Si 1.63
O 0.6946 0.6946 0.3750  2 Nb 1.98
O 0.2428 0.9922 0.4994  2 Si 1.64
O 0.0038 0.0080 0.5497  2 Si 1.65
O 0.9876 0.5009 0.8570  2 Nb 1.88-2.09
O 0.1888 0.3101 0.1952  1 Si 1.63
O 0.2966 0.8243 0.4413  1 Si 1.63
O 0.7572 0.0078 0.9994  2 Si 1.64
O 0.3101 0.1888 0.5548  1 Si 1.63
O 0.9922 0.2428 0.2506  2 Si 1.64
O 0.1758 0.6935 0.6932  1 Si 1.63
O 0.7572 0.9922 0.5006  2 Si 1.64
O 0.0078 0.2428 0.7494  2 Si 1.64
O 0.3229 0.6771 0.1250  2 Nb 1.99
O 0.9176 0.3925 0.4979  1 O 1.24
O 0.3235 0.6945 0.3723  2 Nb 1.97-2.01
O 0.6899 0.8112 0.0548  1 Si 1.63
O 0.6945 0.3235 0.3777  2 Nb 1.97-2.01
O 0.3065 0.1758 0.9432  1 Si 1.63
O 0.8243 0.7034 0.1913  1 Si 1.63
O 0.5059 0.5143 0.5721  2 Nb 1.89-2.09
O 0.9962 0.9920 0.0497  2 Si 1.65
O 0.5009 0.0124 0.6070  2 Nb 1.88-2.09
O 0.6765 0.6945 0.6277  2 Nb 1.97-2.01
O 0.8242 0.3065 0.1932  1 Si 1.63
O 0.2966 0.1757 0.0587  1 Si 1.63
O 0.4857 0.5059 0.8221  2 Nb 1.89-2.09
O 0.7020 0.1890 0.5571  1 Si 1.63
O 0.4941 0.5143 0.4279  2 Nb 1.89-2.09
O 0.3054 0.6946 0.6250  2 Nb 1.98
O 0.0080 0.9962 0.2997  2 Si 1.65
O 0.5143 0.4941 0.3221  2 Nb 1.89-2.09
O 0.2428 0.0078 0.0006  2 Si 1.64
O 0.9922 0.7572 0.2494  2 Si 1.64
O 0.4857 0.4941 0.6779  2 Nb 1.89-2.09
O 0.5009 0.9876 0.8930  2 Nb 1.88-2.09
O 0.3054 0.3054 0.8750  2 Nb 1.98
O 0.8242 0.6935 0.3068  1 Si 1.63
O 0.7034 0.1757 0.9413  1 Si 1.63
O 0.4991 0.0124 0.3930  2 Nb 1.88-2.09
Rb 0.4694 0.0190 0.6763  2 O 2.76-3.07
Rb 0.0190 0.4694 0.0737  2 O 2.76-3.07
Rb 0.9656 0.0344 0.6250  5 O 3.01-3.32
Rb 0.9810 0.4694 0.9263  2 O 2.76-3.07
Rb 0.5306 0.0190 0.3237  2 O 2.76-3.07
Rb 0.4694 0.9810 0.8237  2 O 2.76-3.07
Rb 0.9656 0.9656 0.8750  5 O 3.01-3.32
Rb 0.0344 0.9656 0.1250  5 O 3.01-3.32
Rb 0.3742 0.5000 0.7500  8 O 2.98-3.33
Rb 0.6258 0.5000 0.2500  8 O 2.98-3.33
Rb 0.0190 0.5306 0.4263  2 O 2.76-3.07
Rb 0.9810 0.5306 0.5737  2 O 2.76-3.07
Rb 0.5000 0.6258 0.5000  8 O 2.98-3.33
Rb 0.5306 0.9810 0.1763  2 O 2.76-3.07
Rb 0.0344 0.0344 0.3750  5 O 3.01-3.32
Rb 0.5000 0.3742 0.0000  8 O 2.98-3.33
Nb 0.4990 0.7697 0.5938  6 O 1.88-2.10
Nb 0.2752 0.4998 0.1616  6 O 1.89-2.09
Nb 0.2303 0.5010 0.6562  6 O 1.88-2.10
Nb 0.2752 0.5002 0.3384  6 O 1.89-2.09
Nb 0.2303 0.4990 0.8438  6 O 1.88-2.10
Nb 0.7248 0.5002 0.6616  6 O 1.89-2.09
Nb 0.5002 0.2752 0.4116  6 O 1.89-2.09
Nb 0.5010 0.2303 0.0938  6 O 1.88-2.10
Nb 0.7697 0.4990 0.1562  6 O 1.88-2.10
Nb 0.4998 0.7248 0.9116  6 O 1.89-2.09
Nb 0.4990 0.2303 0.9062  6 O 1.88-2.10
Nb 0.7697 0.5010 0.3438  6 O 1.88-2.10
Nb 0.5002 0.7248 0.0884  6 O 1.89-2.09
Nb 0.5010 0.7697 0.4062  6 O 1.88-2.10
Nb 0.4998 0.2752 0.5884  6 O 1.89-2.09
Nb 0.7248 0.4998 0.8384  6 O 1.89-2.09
Si 0.9951 0.2202 0.7904  4 O 1.63-1.65
Si 0.2202 0.0049 0.5404  4 O 1.63-1.65
Si 0.7798 0.0049 0.4596  4 O 1.63-1.65
Si 0.0049 0.2202 0.2096  4 O 1.63-1.65
Si 0.7860 0.0049 0.5414  4 O 1.63-1.65
Si 0.9951 0.2140 0.7086  4 O 1.63-1.65
Si 0.2140 0.9951 0.0414  4 O 1.63-1.65
Si 0.0049 0.7860 0.2086  4 O 1.63-1.65
Si 0.9951 0.7798 0.7096  4 O 1.63-1.65
Si 0.7798 0.9951 0.0404  4 O 1.63-1.65
Si 0.9951 0.7860 0.7914  4 O 1.63-1.65
Si 0.2140 0.0049 0.4586  4 O 1.63-1.65
Si 0.0049 0.2140 0.2914  4 O 1.63-1.65
Si 0.7860 0.9951 0.9586  4 O 1.63-1.65
Si 0.0049 0.7798 0.2904  4 O 1.63-1.65
Si 0.2202 0.9951 0.9596  4 O 1.63-1.65

=====

Number 1: ΔE_f -2.839 eV per atom, E -7.6120 eV/atom, volume 18.39 Å³ per atom. Number 2: ΔE_f -2.438 eV per atom, E -7.2681 eV/atom, volume 16.28 Å³ per atom. Number 3: ΔE_f -2.545 eV per atom, E -7.5847 eV/atom, volume 16.15 Å³ per atom. Number 4: ΔE_f -2.544 eV per atom, E -7.5837 eV/atom, volume 16.18 Å³ per atom.